DFT (PBE) results for a relaxed Na12Ta4Zn2Si9O36 crystal.

Structure (POSCAR):
```
Na12Ta4Zn2Si9O36
1.0
-8.000 4.434 -0.054
2.024 -5.700 6.862
9.308 16.932 11.319
Na Ta Zn Si O
24 8 4 18 72
Cartesian
-2.799 6.866 2.905 Na
-0.046 3.807 5.218 Na
-4.277 4.964 6.966 Na
3.058 11.944 12.643 Na
-0.148 14.908 10.845 Na
3.930 14.182 8.578 Na
3.659 9.421 8.938 Na
6.673 6.134 11.377 Na
2.129 7.337 13.314 Na
0.301 -2.696 7.674 Na
-3.106 0.508 5.683 Na
1.303 -0.319 3.294 Na
2.117 15.724 14.931 Na
2.738 18.363 10.472 Na
6.502 15.167 12.158 Na
-3.365 9.590 6.463 Na
1.358 8.082 4.835 Na
-0.598 6.183 9.284 Na
4.579 8.330 5.569 Na
9.234 16.796 11.228 Na
2.988 14.966 11.550 Na
-1.667 6.500 5.890 Na
0.246 0.522 6.458 Na
4.900 8.988 12.117 Na
6.041 10.989 7.346 Ta
1.387 2.523 1.687 Ta
4.458 17.641 13.338 Ta
-0.196 9.175 7.678 Ta
-1.137 -1.993 4.777 Ta
3.517 6.473 10.436 Ta
1.579 2.948 8.079 Ta
6.233 11.414 13.739 Ta
3.243 5.899 3.943 Zn
7.897 14.365 9.603 Zn
1.698 12.620 9.981 Zn
-2.956 4.154 4.322 Zn
0.024 5.589 2.858 Si
-1.872 3.401 7.690 Si
-5.045 7.065 4.820 Si
5.268 12.394 10.518 Si
0.451 13.160 13.334 Si
1.351 15.900 8.495 Si
-1.554 12.259 8.855 Si
2.536 11.330 6.881 Si
1.377 9.294 10.881 Si
-5.616 2.124 5.205 Si
-4.461 4.163 1.206 Si
-1.527 1.198 3.228 Si
4.900 14.506 14.885 Si
8.976 13.544 12.971 Si
7.770 11.552 16.943 Si
0.848 4.343 11.269 Si
1.940 6.398 7.296 Si
4.896 3.462 9.257 Si
1.275 6.062 3.727 O
-2.038 4.424 8.902 O
-4.488 8.556 4.735 O
6.238 13.657 10.436 O
1.393 13.568 14.553 O
1.080 17.215 9.354 O
1.981 9.773 14.464 O
5.520 11.361 9.179 O
7.905 7.115 13.568 O
-2.950 2.087 7.866 O
1.959 2.288 3.527 O
2.434 -1.524 8.839 O
-0.373 12.657 9.843 O
2.277 12.434 7.996 O
2.064 10.720 10.735 O
-4.768 3.462 5.061 O
-3.400 4.535 2.330 O
-1.826 2.416 4.205 O
-2.900 0.797 2.352 O
-5.353 1.116 3.890 O
-4.994 2.584 1.400 O
1.477 10.043 7.072 O
0.397 8.975 9.557 O
-1.158 10.877 7.991 O
6.301 14.954 15.637 O
8.791 14.453 14.338 O
8.177 13.146 16.798 O
1.986 5.532 11.128 O
2.795 6.731 8.669 O
4.526 4.892 9.997 O
3.534 3.068 8.395 O
1.110 3.351 9.964 O
1.419 4.835 7.490 O
7.925 12.275 13.162 O
6.805 11.241 15.631 O
5.296 13.137 14.035 O
5.385 2.466 10.404 O
-0.566 5.074 11.397 O
2.902 6.732 6.065 O
8.762 14.529 11.733 O
9.138 10.741 17.090 O
3.783 14.399 16.021 O
-1.986 13.381 7.715 O
4.047 10.653 6.835 O
0.413 9.059 12.208 O
-5.318 1.189 6.541 O
-5.836 5.085 1.140 O
-0.335 1.420 2.098 O
1.832 14.735 9.492 O
3.755 12.923 10.620 O
1.262 13.394 11.966 O
-2.089 4.205 6.316 O
-3.795 6.062 4.941 O
-1.229 5.386 3.843 O
4.531 15.655 13.744 O
2.497 17.312 12.937 O
4.768 17.083 11.412 O
-0.813 9.131 5.746 O
0.569 7.335 7.296 O
-1.923 8.186 8.072 O
-1.028 -0.043 4.218 O
0.800 -1.813 5.363 O
-1.639 -1.316 6.625 O
4.338 6.417 12.293 O
2.638 8.214 11.003 O
5.119 7.596 9.888 O
1.658 0.970 8.483 O
-0.376 2.620 7.687 O
1.885 2.399 6.159 O
5.625 11.371 11.812 O
6.995 9.580 13.365 O
4.510 10.435 14.130 O
```

Output
Corrected total energy (MP2020 scheme) in eV per atom: -7.498
Space group: No. 158
M_tot in μB/atom: 0.00
Formation energy from the elements in eV/atom: -2.850